Entry 1:
# K3PSe4, optimized geometry, DFT PBE
data_K3PSe4
_chemical_formula_sum 'K12 P4 Se16'
_symmetry_space_group_name_H-M 'P 1'
_symmetry_Int_Tables_number 1
_cell_length_a 9.5378
_cell_length_b 11.0472
_cell_length_c 9.8684
_cell_angle_alpha 90.00
_cell_angle_beta 90.00
_cell_angle_gamma 90.00
loop_
_symmetry_equiv_pos_as_xyz
'x,y,z'
loop_
_atom_site_label
_atom_site_type_symbol
_atom_site_fract_x
_atom_site_fract_y
_atom_site_fract_z
_atom_site_occupancy
K1 K 0.0594 0.0459 0.1971 1
K2 K 0.0594 0.4541 0.1971 1
K3 K 0.1385 0.7500 0.4176 1
K4 K 0.3615 0.2500 0.9176 1
K5 K 0.4406 0.5459 0.6971 1
K6 K 0.4406 0.9541 0.6971 1
K7 K 0.5594 0.0459 0.3029 1
K8 K 0.5594 0.4541 0.3029 1
K9 K 0.6385 0.7500 0.0824 1
K10 K 0.8615 0.2500 0.5824 1
K11 K 0.9406 0.5459 0.8029 1
K12 K 0.9406 0.9541 0.8029 1
P1 P 0.2243 0.7500 0.9779 1
P2 P 0.2757 0.2500 0.4779 1
P3 P 0.7243 0.7500 0.5221 1
P4 P 0.7757 0.2500 0.0221 1
Se1 Se 0.0176 0.7500 0.0872 1
Se2 Se 0.1567 0.0827 0.5325 1
Se3 Se 0.1567 0.4173 0.5325 1
Se4 Se 0.1876 0.7500 0.7548 1
Se5 Se 0.3124 0.2500 0.2548 1
Se6 Se 0.3433 0.5827 0.0325 1
Se7 Se 0.3433 0.9173 0.0325 1
Se8 Se 0.4824 0.2500 0.5872 1
Se9 Se 0.5176 0.7500 0.4128 1
Se10 Se 0.6567 0.0827 0.9675 1
Se11 Se 0.6567 0.4173 0.9675 1
Se12 Se 0.6876 0.7500 0.7452 1
Se13 Se 0.8124 0.2500 0.2452 1
Se14 Se 0.8433 0.5827 0.4675 1
Se15 Se 0.8433 0.9173 0.4675 1
Se16 Se 0.9824 0.2500 0.9128 1
# - E_form: -1106.5 meV per atom
# - Calculated density: 2.96 Mg/m³

---

Entry 2:
# K3PSe16, optimized geometry, DFT PBE
data_K3PSe16
_chemical_formula_sum 'K6 P2 Se32'
_symmetry_space_group_name_H-M 'P 1'
_symmetry_Int_Tables_number 1
_cell_length_a 11.8898
_cell_length_b 11.8898
_cell_length_c 11.8898
_cell_angle_alpha 60.00
_cell_angle_beta 60.00
_cell_angle_gamma 60.00
loop_
_symmetry_equiv_pos_as_xyz
'x,y,z'
loop_
_atom_site_label
_atom_site_type_symbol
_atom_site_fract_x
_atom_site_fract_y
_atom_site_fract_z
_atom_site_occupancy
K1 K 0.0000 0.0000 0.0000 1
K2 K 0.0000 0.0000 0.5000 1
K3 K 0.0000 0.5000 0.0000 1
K4 K 0.3750 0.3750 0.3750 1
K5 K 0.5000 0.0000 0.0000 1
K6 K 0.6250 0.6250 0.6250 1
P1 P 0.1250 0.1250 0.1250 1
P2 P 0.8750 0.8750 0.8750 1
Se1 Se 0.0526 0.3076 0.4654 1
Se2 Se 0.0526 0.4654 0.6745 1
Se3 Se 0.0526 0.6745 0.3076 1
Se4 Se 0.1054 0.7982 0.7982 1
Se5 Se 0.2018 0.2018 0.2018 1
Se6 Se 0.2018 0.2018 0.8946 1
Se7 Se 0.2018 0.8946 0.2018 1
Se8 Se 0.3076 0.0526 0.6745 1
Se9 Se 0.3076 0.4654 0.0526 1
Se10 Se 0.3076 0.6745 0.4654 1
Se11 Se 0.3255 0.5346 0.6924 1
Se12 Se 0.3255 0.6924 0.9474 1
Se13 Se 0.3255 0.9474 0.5346 1
Se14 Se 0.4654 0.0526 0.3076 1
Se15 Se 0.4654 0.3076 0.6745 1
Se16 Se 0.4654 0.6745 0.0526 1
Se17 Se 0.5346 0.3255 0.9474 1
Se18 Se 0.5346 0.6924 0.3255 1
Se19 Se 0.5346 0.9474 0.6924 1
Se20 Se 0.6745 0.0526 0.4654 1
Se21 Se 0.6745 0.3076 0.0526 1
Se22 Se 0.6745 0.4654 0.3076 1
Se23 Se 0.6924 0.3255 0.5346 1
Se24 Se 0.6924 0.5346 0.9474 1
Se25 Se 0.6924 0.9474 0.3255 1
Se26 Se 0.7982 0.1054 0.7982 1
Se27 Se 0.7982 0.7982 0.1054 1
Se28 Se 0.7982 0.7982 0.7982 1
Se29 Se 0.8946 0.2018 0.2018 1
Se30 Se 0.9474 0.3255 0.6924 1
Se31 Se 0.9474 0.5346 0.3255 1
Se32 Se 0.9474 0.6924 0.5346 1
# - E_form: -723.2 meV per atom
# - Calculated density: 3.94 Mg/m³

---

Entry 3:
# KTiPSe5, optimized geometry, DFT PBE
data_KTiPSe5
_chemical_formula_sum 'K2 Ti2 P2 Se10'
_symmetry_space_group_name_H-M 'P 1'
_symmetry_Int_Tables_number 1
_cell_length_a 10.1148
_cell_length_b 10.1148
_cell_length_c 6.9093
_cell_angle_alpha 98.28
_cell_angle_beta 98.28
_cell_angle_gamma 43.43
loop_
_symmetry_equiv_pos_as_xyz
'x,y,z'
loop_
_atom_site_label
_atom_site_type_symbol
_atom_site_fract_x
_atom_site_fract_y
_atom_site_fract_z
_atom_site_occupancy
K1 K 0.2313 0.2313 0.2335 1
K2 K 0.7687 0.7687 0.7665 1
Ti1 Ti 0.2232 0.7768 0.0000 1
Ti2 Ti 0.7768 0.2232 0.0000 1
P1 P 0.3639 0.3639 0.7887 1
P2 P 0.6361 0.6361 0.2113 1
Se1 Se 0.0582 0.0582 0.8171 1
Se2 Se 0.1752 0.6545 0.6727 1
Se3 Se 0.2468 0.2468 0.7424 1
Se4 Se 0.3455 0.8248 0.3273 1
Se5 Se 0.4165 0.4165 0.1062 1
Se6 Se 0.5835 0.5835 0.8938 1
Se7 Se 0.6545 0.1752 0.6727 1
Se8 Se 0.7532 0.7532 0.2576 1
Se9 Se 0.8248 0.3455 0.3273 1
Se10 Se 0.9418 0.9418 0.1829 1
# - E_form: -1055.6 meV per atom
# - Calculated density: 3.55 Mg/m³

---

Entry 4:
# KPb2, optimized geometry, DFT PBE
data_KPb2
_chemical_formula_sum 'K4 Pb8'
_symmetry_space_group_name_H-M 'P 1'
_symmetry_Int_Tables_number 1
_cell_length_a 6.7535
_cell_length_b 6.7535
_cell_length_c 11.1369
_cell_angle_alpha 90.00
_cell_angle_beta 90.00
_cell_angle_gamma 120.00
loop_
_symmetry_equiv_pos_as_xyz
'x,y,z'
loop_
_atom_site_label
_atom_site_type_symbol
_atom_site_fract_x
_atom_site_fract_y
_atom_site_fract_z
_atom_site_occupancy
K1 K 0.3333 0.6667 0.0635 1
K2 K 0.3333 0.6667 0.4365 1
K3 K 0.6667 0.3333 0.5635 1
K4 K 0.6667 0.3333 0.9365 1
Pb1 Pb 0.0000 0.0000 0.0000 1
Pb2 Pb 0.0000 0.0000 0.5000 1
Pb3 Pb 0.1655 0.3311 0.7500 1
Pb4 Pb 0.1655 0.8345 0.7500 1
Pb5 Pb 0.3311 0.1655 0.2500 1
Pb6 Pb 0.6689 0.8345 0.7500 1
Pb7 Pb 0.8345 0.1655 0.2500 1
Pb8 Pb 0.8345 0.6689 0.2500 1
# - E_form: -174.2 meV per atom
# - Calculated density: 6.85 Mg/m³

---

Entry 5:
# K4Pb9, optimized geometry, DFT PBE
data_K4Pb9
_chemical_formula_sum 'K16 Pb36'
_symmetry_space_group_name_H-M 'P 1'
_symmetry_Int_Tables_number 1
_cell_length_a 9.8255
_cell_length_b 13.4687
_cell_length_c 16.2005
_cell_angle_alpha 90.00
_cell_angle_beta 103.19
_cell_angle_gamma 90.00
loop_
_symmetry_equiv_pos_as_xyz
'x,y,z'
loop_
_atom_site_label
_atom_site_type_symbol
_atom_site_fract_x
_atom_site_fract_y
_atom_site_fract_z
_atom_site_occupancy
K1 K 0.0523 0.0032 0.3702 1
K2 K 0.0523 0.4968 0.3702 1
K3 K 0.1143 0.2500 0.2030 1
K4 K 0.2609 0.2500 0.5679 1
K5 K 0.3247 0.5975 0.9090 1
K6 K 0.3247 0.9025 0.9090 1
K7 K 0.3811 0.5732 0.2129 1
K8 K 0.3811 0.9268 0.2129 1
K9 K 0.6189 0.0732 0.7871 1
K10 K 0.6189 0.4268 0.7871 1
K11 K 0.6753 0.0975 0.0910 1
K12 K 0.6753 0.4025 0.0910 1
K13 K 0.7391 0.7500 0.4321 1
K14 K 0.8857 0.7500 0.7970 1
K15 K 0.9477 0.5032 0.6298 1
K16 K 0.9477 0.9968 0.6298 1
Pb1 Pb 0.0003 0.0572 0.8777 1
Pb2 Pb 0.0003 0.4428 0.8777 1
Pb3 Pb 0.9997 0.5572 0.1223 1
Pb4 Pb 0.9997 0.9428 0.1223 1
Pb5 Pb 0.0652 0.7500 0.0290 1
Pb6 Pb 0.0665 0.7500 0.2464 1
Pb7 Pb 0.1313 0.7500 0.4938 1
Pb8 Pb 0.1711 0.7500 0.6926 1
Pb9 Pb 0.2336 0.1329 0.7818 1
Pb10 Pb 0.2336 0.3671 0.7818 1
Pb11 Pb 0.2463 0.1319 0.0290 1
Pb12 Pb 0.2463 0.3681 0.0290 1
Pb13 Pb 0.3082 0.5624 0.6230 1
Pb14 Pb 0.3082 0.9376 0.6230 1
Pb15 Pb 0.3843 0.1300 0.3781 1
Pb16 Pb 0.3843 0.3700 0.3781 1
Pb17 Pb 0.3885 0.6313 0.4491 1
Pb18 Pb 0.3885 0.8687 0.4491 1
Pb19 Pb 0.4402 0.2500 0.9283 1
Pb20 Pb 0.4972 0.7500 0.7608 1
Pb21 Pb 0.5028 0.2500 0.2392 1
Pb22 Pb 0.5598 0.7500 0.0717 1
Pb23 Pb 0.6115 0.1313 0.5509 1
Pb24 Pb 0.6115 0.3687 0.5509 1
Pb25 Pb 0.6157 0.6300 0.6219 1
Pb26 Pb 0.6157 0.8700 0.6219 1
Pb27 Pb 0.6918 0.0624 0.3770 1
Pb28 Pb 0.6918 0.4376 0.3770 1
Pb29 Pb 0.7537 0.6319 0.9710 1
Pb30 Pb 0.7537 0.8681 0.9710 1
Pb31 Pb 0.7664 0.6329 0.2182 1
Pb32 Pb 0.7664 0.8671 0.2182 1
Pb33 Pb 0.8289 0.2500 0.3074 1
Pb34 Pb 0.8687 0.2500 0.5062 1
Pb35 Pb 0.9335 0.2500 0.7536 1
Pb36 Pb 0.9348 0.2500 0.9710 1
# - E_form: -153.3 meV per atom
# - Calculated density: 6.43 Mg/m³
# - Spin magnetization: 0.00 μB per cell

---

Entry 6:
# KPb3, optimized geometry, DFT PBE
data_KPb3
_chemical_formula_sum 'K1 Pb3'
_symmetry_space_group_name_H-M 'P 1'
_symmetry_Int_Tables_number 1
_cell_length_a 5.1014
_cell_length_b 5.1014
_cell_length_c 5.1014
_cell_angle_alpha 90.00
_cell_angle_beta 90.00
_cell_angle_gamma 90.00
loop_
_symmetry_equiv_pos_as_xyz
'x,y,z'
loop_
_atom_site_label
_atom_site_type_symbol
_atom_site_fract_x
_atom_site_fract_y
_atom_site_fract_z
_atom_site_occupancy
K1 K 0.0000 0.0000 0.0000 1
Pb1 Pb 0.0000 0.5000 0.5000 1
Pb2 Pb 0.5000 0.0000 0.5000 1
Pb3 Pb 0.5000 0.5000 0.0000 1
# - E_form: -61.7 meV per atom
# - Calculated density: 8.26 Mg/m³
# - Spin magnetization: 0.04 μB per cell

---

- Which formula does entry 2 have?
  K3PSe16

---

Repeat the fourth record exactly.
# KPb2, optimized geometry, DFT PBE
data_KPb2
_chemical_formula_sum 'K4 Pb8'
_symmetry_space_group_name_H-M 'P 1'
_symmetry_Int_Tables_number 1
_cell_length_a 6.7535
_cell_length_b 6.7535
_cell_length_c 11.1369
_cell_angle_alpha 90.00
_cell_angle_beta 90.00
_cell_angle_gamma 120.00
loop_
_symmetry_equiv_pos_as_xyz
'x,y,z'
loop_
_atom_site_label
_atom_site_type_symbol
_atom_site_fract_x
_atom_site_fract_y
_atom_site_fract_z
_atom_site_occupancy
K1 K 0.3333 0.6667 0.0635 1
K2 K 0.3333 0.6667 0.4365 1
K3 K 0.6667 0.3333 0.5635 1
K4 K 0.6667 0.3333 0.9365 1
Pb1 Pb 0.0000 0.0000 0.0000 1
Pb2 Pb 0.0000 0.0000 0.5000 1
Pb3 Pb 0.1655 0.3311 0.7500 1
Pb4 Pb 0.1655 0.8345 0.7500 1
Pb5 Pb 0.3311 0.1655 0.2500 1
Pb6 Pb 0.6689 0.8345 0.7500 1
Pb7 Pb 0.8345 0.1655 0.2500 1
Pb8 Pb 0.8345 0.6689 0.2500 1
# - E_form: -174.2 meV per atom
# - Calculated density: 6.85 Mg/m³

---

Repeat the fourth record exactly.
# KPb2, optimized geometry, DFT PBE
data_KPb2
_chemical_formula_sum 'K4 Pb8'
_symmetry_space_group_name_H-M 'P 1'
_symmetry_Int_Tables_number 1
_cell_length_a 6.7535
_cell_length_b 6.7535
_cell_length_c 11.1369
_cell_angle_alpha 90.00
_cell_angle_beta 90.00
_cell_angle_gamma 120.00
loop_
_symmetry_equiv_pos_as_xyz
'x,y,z'
loop_
_atom_site_label
_atom_site_type_symbol
_atom_site_fract_x
_atom_site_fract_y
_atom_site_fract_z
_atom_site_occupancy
K1 K 0.3333 0.6667 0.0635 1
K2 K 0.3333 0.6667 0.4365 1
K3 K 0.6667 0.3333 0.5635 1
K4 K 0.6667 0.3333 0.9365 1
Pb1 Pb 0.0000 0.0000 0.0000 1
Pb2 Pb 0.0000 0.0000 0.5000 1
Pb3 Pb 0.1655 0.3311 0.7500 1
Pb4 Pb 0.1655 0.8345 0.7500 1
Pb5 Pb 0.3311 0.1655 0.2500 1
Pb6 Pb 0.6689 0.8345 0.7500 1
Pb7 Pb 0.8345 0.1655 0.2500 1
Pb8 Pb 0.8345 0.6689 0.2500 1
# - E_form: -174.2 meV per atom
# - Calculated density: 6.85 Mg/m³

---

Repeat the first record exactly.
# K3PSe4, optimized geometry, DFT PBE
data_K3PSe4
_chemical_formula_sum 'K12 P4 Se16'
_symmetry_space_group_name_H-M 'P 1'
_symmetry_Int_Tables_number 1
_cell_length_a 9.5378
_cell_length_b 11.0472
_cell_length_c 9.8684
_cell_angle_alpha 90.00
_cell_angle_beta 90.00
_cell_angle_gamma 90.00
loop_
_symmetry_equiv_pos_as_xyz
'x,y,z'
loop_
_atom_site_label
_atom_site_type_symbol
_atom_site_fract_x
_atom_site_fract_y
_atom_site_fract_z
_atom_site_occupancy
K1 K 0.0594 0.0459 0.1971 1
K2 K 0.0594 0.4541 0.1971 1
K3 K 0.1385 0.7500 0.4176 1
K4 K 0.3615 0.2500 0.9176 1
K5 K 0.4406 0.5459 0.6971 1
K6 K 0.4406 0.9541 0.6971 1
K7 K 0.5594 0.0459 0.3029 1
K8 K 0.5594 0.4541 0.3029 1
K9 K 0.6385 0.7500 0.0824 1
K10 K 0.8615 0.2500 0.5824 1
K11 K 0.9406 0.5459 0.8029 1
K12 K 0.9406 0.9541 0.8029 1
P1 P 0.2243 0.7500 0.9779 1
P2 P 0.2757 0.2500 0.4779 1
P3 P 0.7243 0.7500 0.5221 1
P4 P 0.7757 0.2500 0.0221 1
Se1 Se 0.0176 0.7500 0.0872 1
Se2 Se 0.1567 0.0827 0.5325 1
Se3 Se 0.1567 0.4173 0.5325 1
Se4 Se 0.1876 0.7500 0.7548 1
Se5 Se 0.3124 0.2500 0.2548 1
Se6 Se 0.3433 0.5827 0.0325 1
Se7 Se 0.3433 0.9173 0.0325 1
Se8 Se 0.4824 0.2500 0.5872 1
Se9 Se 0.5176 0.7500 0.4128 1
Se10 Se 0.6567 0.0827 0.9675 1
Se11 Se 0.6567 0.4173 0.9675 1
Se12 Se 0.6876 0.7500 0.7452 1
Se13 Se 0.8124 0.2500 0.2452 1
Se14 Se 0.8433 0.5827 0.4675 1
Se15 Se 0.8433 0.9173 0.4675 1
Se16 Se 0.9824 0.2500 0.9128 1
# - E_form: -1106.5 meV per atom
# - Calculated density: 2.96 Mg/m³